! Eu5Zr3S12 (GGA-PBE, optimized geometry); values from VASP
! Space-group type = P-62m (189)
! E (MP2020) = -8.4370 eV/atom
! Crystal system = hexagonal
&SYSTEM
  ibrav = 0, nat = 20, ntyp = 3
/
ATOMIC_SPECIES
Eu 151.96 Eu.upf
Zr 91.22 Zr.upf
S 32.06 S.upf
CELL_PARAMETERS angstrom
11.7281 0.0000 0.0000
-5.8641 10.1568 0.0000
0.0000 0.0000 3.9132
ATOMIC_POSITIONS angstrom
Eu -4.2010 7.2764 0.0000
Eu 1.6630 2.8805 0.0000
Eu 0.0000 6.7712 0.0000
Eu 5.8641 3.3856 0.0000
Eu 8.4020 0.0000 0.0000
Zr -1.9145 3.3159 1.9566
Zr 3.8289 0.0000 1.9566
Zr 3.9496 6.8409 1.9566
S -1.0424 1.8055 0.0000
S -2.7489 4.7612 0.0000
S 2.0848 0.0000 0.0000
S -2.1003 7.5963 1.9566
S 0.3356 4.5398 1.9566
S 3.7637 2.5605 1.9566
S 5.4978 0.0000 0.0000
S 3.1152 5.3956 0.0000
S 1.7647 8.1776 1.9566
S 7.6287 1.9792 1.9566
S 6.1997 5.6171 1.9566
S 4.8216 8.3513 0.0000


! Eu16Sb11 (GGA-PBE, optimized geometry); values from VASP
! Space-group type = P2_12_12 (18)
! E (MP2020) = -8.8704 eV/atom
! Crystal system = orthorhombic
&SYSTEM
  ibrav = 0, nat = 54, ntyp = 2
/
ATOMIC_SPECIES
Eu 151.96 Eu.upf
Sb 121.76 Sb.upf
CELL_PARAMETERS angstrom
12.7196 0.0000 0.0000
0.0000 12.7412 0.0000
0.0000 0.0000 11.7606
ATOMIC_POSITIONS angstrom
Eu 0.0000 0.0000 1.7347
Eu 0.0000 0.0000 9.3007
Eu 0.8791 3.7629 3.6640
Eu 0.9389 3.7112 8.3116
Eu 1.1286 9.0081 11.7411
Eu 1.7049 11.0363 5.8723
Eu 2.5405 7.2354 8.0246
Eu 2.6359 5.2438 0.0126
Eu 2.6430 7.3073 3.4444
Eu 3.7168 0.9367 8.3162
Eu 3.7239 11.6143 11.7481
Eu 3.8193 0.8648 3.7361
Eu 4.6550 4.6658 5.8884
Eu 5.2313 2.6376 0.0195
Eu 5.4209 10.0818 3.4491
Eu 5.4807 10.1335 8.0966
Eu 6.3598 6.3706 2.4599
Eu 6.3598 6.3706 10.0260
Eu 7.2389 2.6077 8.0966
Eu 7.2987 2.6594 3.4491
Eu 7.4884 10.1036 0.0195
Eu 8.0647 8.0754 5.8884
Eu 8.9003 11.8764 3.7361
Eu 8.9957 1.1268 11.7481
Eu 9.0028 11.8044 8.3162
Eu 10.0767 5.4339 3.4444
Eu 10.0837 7.4974 0.0126
Eu 10.1791 5.5058 8.0246
Eu 11.0148 1.7048 5.8723
Eu 11.5911 3.7330 11.7411
Eu 11.7807 9.0300 8.3116
Eu 11.8405 8.9783 3.6640
Sb 0.0000 6.3706 1.7443
Sb 0.0000 6.3706 5.8422
Sb 0.0000 6.3706 9.9665
Sb 1.5808 1.5811 6.0083
Sb 1.8258 1.8330 11.3999
Sb 2.1382 10.6173 2.7484
Sb 2.2788 10.4363 8.9783
Sb 4.0810 4.0657 2.7823
Sb 4.2217 4.2468 9.0123
Sb 4.5340 8.2036 0.3608
Sb 4.7790 7.9517 5.7524
Sb 6.3598 0.0000 1.7941
Sb 6.3598 0.0000 5.9184
Sb 6.3598 0.0000 10.0164
Sb 7.9406 4.7895 5.7524
Sb 8.1856 4.5375 0.3608
Sb 8.4980 8.4944 9.0123
Sb 8.6387 8.6754 2.7823
Sb 10.4408 2.3048 8.9783
Sb 10.5815 2.1238 2.7484
Sb 10.8938 10.9081 11.3999
Sb 11.1388 11.1601 6.0083


! Eu3Sb (GGA-PBE, optimized geometry); values from VASP
! Space-group type = P6_3/mmc (194)
! E (MP2020) = -9.3560 eV/atom
! Crystal system = hexagonal
&SYSTEM
  ibrav = 0, nat = 8, ntyp = 2
/
ATOMIC_SPECIES
Eu 151.96 Eu.upf
Sb 121.76 Sb.upf
CELL_PARAMETERS angstrom
7.2349 0.0000 0.0000
-3.6175 6.2656 0.0000
0.0000 0.0000 5.7765
ATOMIC_POSITIONS angstrom
Eu 0.0000 2.1936 1.4441
Eu -1.7177 5.1688 1.4441
Eu 1.8997 1.0968 4.3324
Eu 1.7177 5.1688 1.4441
Eu 5.3352 1.0968 4.3324
Eu 3.6175 4.0720 4.3324
Sb 0.0000 4.1771 4.3324
Sb 3.6175 2.0885 1.4441


! EuSb2 (GGA-PBE, optimized geometry); values from VASP
! Space-group type = P2_1/m (11)
! E (MP2020) = -7.0251 eV/atom
! Crystal system = monoclinic
&SYSTEM
  ibrav = 0, nat = 6, ntyp = 2
/
ATOMIC_SPECIES
Eu 151.96 Eu.upf
Sb 121.76 Sb.upf
CELL_PARAMETERS angstrom
4.6720 0.0000 0.0000
0.0000 4.4185 0.0000
-2.1418 0.0000 8.5970
ATOMIC_POSITIONS angstrom
Eu -0.0228 1.1046 1.7653
Eu 2.5529 3.3139 6.8317
Sb 0.2420 3.3139 4.4036
Sb 0.2118 1.1046 7.5739
Sb 2.3184 3.3139 1.0230
Sb 2.2882 1.1046 4.1933


! EuSb2Se4 (GGA-PBE, optimized geometry); values from VASP
! Space-group type = Pnma (62)
! E (MP2020) = -5.6286 eV/atom
! Crystal system = orthorhombic
&SYSTEM
  ibrav = 0, nat = 28, ntyp = 3
/
ATOMIC_SPECIES
Eu 151.96 Eu.upf
Sb 121.76 Sb.upf
Se 78.96 Se.upf
CELL_PARAMETERS angstrom
12.2789 0.0000 0.0000
0.0000 4.1537 0.0000
0.0000 0.0000 15.2627
ATOMIC_POSITIONS angstrom
Eu 3.0493 1.0384 2.4073
Eu 3.0902 3.1152 10.0386
Eu 9.1887 1.0384 5.2241
Eu 9.2296 3.1152 12.8554
Sb 0.7867 3.1152 6.0492
Sb 1.1094 3.1152 13.6367
Sb 5.0301 1.0384 6.0053
Sb 5.3527 1.0384 13.6805
Sb 6.9262 3.1152 1.5822
Sb 7.2488 3.1152 9.2574
Sb 11.1695 1.0384 1.6260
Sb 11.4922 1.0384 9.2135
Se 0.0445 3.1152 10.9115
Se 0.8985 3.1152 1.3286
Se 1.8320 1.0384 8.0003
Se 2.7911 1.0384 12.4249
Se 3.3483 3.1152 4.7936
Se 4.3075 3.1152 0.3690
Se 5.2410 1.0384 8.9599
Se 6.0949 1.0384 3.2801
Se 6.1840 3.1152 11.9826
Se 7.0379 3.1152 6.3028
Se 7.9714 1.0384 14.8937
Se 8.9305 1.0384 10.4691
Se 9.4878 3.1152 2.8378
Se 10.4469 3.1152 7.2624
Se 11.3804 1.0384 13.9341
Se 12.2344 1.0384 4.3512


! EuZn2Sb2 (GGA-PBE, optimized geometry); values from VASP
! Space-group type = P-3m1 (164)
! E (MP2020) = -4.7695 eV/atom
! Crystal system = trigonal
&SYSTEM
  ibrav = 0, nat = 5, ntyp = 3
/
ATOMIC_SPECIES
Eu 151.96 Eu.upf
Zn 65.41 Zn.upf
Sb 121.76 Sb.upf
CELL_PARAMETERS angstrom
4.5800 0.0000 0.0000
-2.2900 3.9664 0.0000
0.0000 0.0000 7.4232
ATOMIC_POSITIONS angstrom
Eu 0.0000 0.0000 0.0000
Zn 0.0000 2.6443 2.6659
Zn 2.2900 1.3221 4.7574
Sb 0.0000 2.6443 5.4718
Sb 2.2900 1.3221 1.9515


! Eu11Zn6Sb12 (GGA-PBE, optimized geometry); values from VASP
! Space-group type = C2/m (12)
! E (MP2020) = -6.6890 eV/atom
! Crystal system = monoclinic
&SYSTEM
  ibrav = 0, nat = 29, ntyp = 3
/
ATOMIC_SPECIES
Eu 151.96 Eu.upf
Zn 65.41 Zn.upf
Sb 121.76 Sb.upf
CELL_PARAMETERS angstrom
15.7787 -2.3986 0.0000
15.7787 2.3986 0.0000
-4.0948 0.0000 11.4388
ATOMIC_POSITIONS angstrom
Eu 0.0000 0.0000 0.0000
Eu -2.1931 0.0000 7.7399
Eu 1.5220 0.0000 5.8379
Eu 3.9047 0.0000 0.2237
Eu 4.9077 0.0000 3.9642
Eu 8.2965 0.0000 1.5937
Eu 19.1662 0.0000 9.8451
Eu 22.5550 0.0000 7.4746
Eu 23.5581 0.0000 11.2152
Eu 25.9407 0.0000 5.6009
Eu 29.6558 0.0000 3.6989
Zn 4.1120 0.0000 7.6853
Zn 11.6141 0.0000 2.9370
Zn 11.2641 0.0000 8.6440
Zn 16.1986 0.0000 2.7948
Zn 15.8487 0.0000 8.5018
Zn 23.3507 0.0000 3.7535
Sb 1.7865 0.0000 2.6872
Sb 1.4272 0.0000 8.9651
Sb 5.7784 0.0000 9.8370
Sb 7.8299 0.0000 5.2617
Sb 13.8260 0.0000 1.3358
Sb 12.3030 0.0000 5.6927
Sb 15.1597 0.0000 5.7461
Sb 13.6367 0.0000 10.1030
Sb 19.6328 0.0000 6.1772
Sb 21.6843 0.0000 1.6018
Sb 26.0355 0.0000 2.4738
Sb 25.6762 0.0000 8.7516


! EuSc2Se4 (GGA-PBE, optimized geometry); values from VASP
! Space-group type = Pnma (62)
! E (MP2020) = -7.2469 eV/atom
! Crystal system = orthorhombic
&SYSTEM
  ibrav = 0, nat = 28, ntyp = 3
/
ATOMIC_SPECIES
Eu 151.96 Eu.upf
Sc 44.96 Sc.upf
Se 78.96 Se.upf
CELL_PARAMETERS angstrom
11.4899 0.0000 0.0000
0.0000 3.7836 0.0000
0.0000 0.0000 13.6867
ATOMIC_POSITIONS angstrom
Eu 2.7379 0.9459 2.3038
Eu 3.0070 2.8377 9.1471
Eu 8.4829 0.9459 4.5396
Eu 8.7520 2.8377 11.3829
Sc 0.6761 0.9459 5.3296
Sc 0.9596 0.9459 12.3621
Sc 4.7853 2.8377 5.5188
Sc 5.0688 2.8377 12.1729
Sc 6.4211 0.9459 1.5138
Sc 6.7046 0.9459 8.1679
Sc 10.5303 2.8377 1.3246
Sc 10.8138 2.8377 8.3571
Se 0.3220 2.8377 10.7246
Se 1.0876 0.9459 7.8928
Se 1.4803 2.8377 0.4245
Se 2.3489 2.8377 4.6185
Se 3.3961 0.9459 11.4619
Se 4.2646 0.9459 7.2678
Se 4.6574 2.8377 1.0494
Se 5.4229 0.9459 3.8812
Se 6.0670 2.8377 9.8055
Se 6.8325 0.9459 12.6372
Se 7.2252 2.8377 6.4188
Se 8.0938 2.8377 2.2248
Se 9.1410 0.9459 9.0682
Se 10.0096 0.9459 13.2622
Se 10.4023 2.8377 5.7939
Se 11.1679 0.9459 2.9621


! Eu2Se3 (GGA-PBE, optimized geometry); values from VASP
! Space-group type = Fddd (70)
! E (MP2020) = -7.9575 eV/atom
! Crystal system = orthorhombic
&SYSTEM
  ibrav = 0, nat = 20, ntyp = 2
/
ATOMIC_SPECIES
Eu 151.96 Eu.upf
Se 78.96 Se.upf
CELL_PARAMETERS angstrom
0.0000 6.0269 12.8657
4.2581 0.0000 12.8657
4.2581 6.0269 0.0000
ATOMIC_POSITIONS angstrom
Eu 1.0645 1.5067 1.0206
Eu 3.1936 4.5202 3.3078
Eu 1.0645 1.5067 5.4123
Eu 5.3226 7.5337 9.7406
Eu 3.1936 4.5202 15.9907
Eu 7.4517 10.5471 20.3191
Eu 5.3226 7.5337 22.4236
Eu 7.4517 10.5471 24.7108
Se 3.0792 1.4128 7.5863
Se 5.4791 4.5202 9.6493
Se 3.3079 1.4128 11.7122
Se 5.4370 4.4263 14.0192
Se 7.6081 7.5337 16.0821
Se 5.2082 4.4263 18.1451
Se 3.3079 7.6276 7.5863
Se 0.9080 4.5202 9.6493
Se 3.0792 7.6276 11.7122
Se 5.2082 10.6410 14.0192
Se 3.0371 7.5337 16.0821
Se 5.4370 10.6410 18.1451


! EuSe2 (GGA-PBE, optimized geometry); values from VASP
! Space-group type = P4/nmm (129)
! E (MP2020) = -7.4230 eV/atom
! Crystal system = tetragonal
&SYSTEM
  ibrav = 0, nat = 6, ntyp = 2
/
ATOMIC_SPECIES
Eu 151.96 Eu.upf
Se 78.96 Se.upf
CELL_PARAMETERS angstrom
4.1060 0.0000 0.0000
0.0000 4.1060 0.0000
0.0000 0.0000 8.9520
ATOMIC_POSITIONS angstrom
Eu 1.0265 1.0265 1.9332
Eu 3.0795 3.0795 7.0188
Se 1.0265 1.0265 7.7532
Se 1.0265 3.0795 4.4760
Se 3.0795 1.0265 4.4760
Se 3.0795 3.0795 1.1989


! Eu2SnSe5 (GGA-PBE, optimized geometry); values from VASP
! Space-group type = Pbam (55)
! E (MP2020) = -6.6782 eV/atom
! Crystal system = orthorhombic
&SYSTEM
  ibrav = 0, nat = 16, ntyp = 3
/
ATOMIC_SPECIES
Eu 151.96 Eu.upf
Sn 118.71 Sn.upf
Se 78.96 Se.upf
CELL_PARAMETERS angstrom
8.2139 0.0000 0.0000
0.0000 12.0298 0.0000
0.0000 0.0000 4.1490
ATOMIC_POSITIONS angstrom
Eu 0.6394 2.0716 0.0000
Eu 3.4676 8.0865 0.0000
Eu 4.7463 3.9434 0.0000
Eu 7.5746 9.9583 0.0000
Sn 0.0000 6.0149 2.0745
Sn 4.1070 0.0000 2.0745
Se 0.0000 0.0000 2.0745
Se 1.1673 8.4750 2.0745
Se 1.6354 5.1524 0.0000
Se 2.4715 11.1673 0.0000
Se 2.9396 2.4601 2.0745
Se 4.1070 6.0149 2.0745
Se 5.2743 9.5698 2.0745
Se 5.7424 0.8625 0.0000
Se 6.5785 6.8774 0.0000
Se 7.0466 3.5548 2.0745


! SrEu4Se5 (GGA-PBE, optimized geometry); values from VASP
! Space-group type = C2/m (12)
! E (MP2020) = -8.2949 eV/atom
! Crystal system = monoclinic
&SYSTEM
  ibrav = 0, nat = 10, ntyp = 3
/
ATOMIC_SPECIES
Sr 87.62 Sr.upf
Eu 151.96 Eu.upf
Se 78.96 Se.upf
CELL_PARAMETERS angstrom
7.2685 -2.1907 0.0000
7.2685 2.1907 0.0000
-5.2854 0.0000 9.3456
ATOMIC_POSITIONS angstrom
Sr 0.0000 0.0000 0.0000
Eu -1.3211 0.0000 7.4735
Eu 2.6445 0.0000 5.6043
Eu 6.6071 0.0000 3.7412
Eu 10.5727 0.0000 1.8721
Se -2.6427 0.0000 4.6728
Se 1.3278 0.0000 2.8175
Se 5.2662 0.0000 0.9439
Se 3.9854 0.0000 8.4017
Se 7.9239 0.0000 6.5281


! Tb2EuSe4 (GGA-PBE, optimized geometry); values from VASP
! Space-group type = Pnma (62)
! E (MP2020) = -6.9889 eV/atom
! Crystal system = orthorhombic
&SYSTEM
  ibrav = 0, nat = 28, ntyp = 3
/
ATOMIC_SPECIES
Tb 158.93 Tb.upf
Eu 151.96 Eu.upf
Se 78.96 Se.upf
CELL_PARAMETERS angstrom
12.5103 0.0000 0.0000
0.0000 4.1560 0.0000
0.0000 0.0000 15.0007
ATOMIC_POSITIONS angstrom
Tb 0.8630 1.0390 1.6531
Tb 1.0069 1.0390 8.9866
Tb 5.2483 3.1170 1.4862
Tb 5.3922 3.1170 9.1535
Tb 7.1181 1.0390 5.8472
Tb 7.2620 1.0390 13.5145
Tb 11.5035 3.1170 6.0142
Tb 11.6473 3.1170 13.3476
Eu 3.0355 1.0390 5.0510
Eu 3.2197 3.1170 12.5514
Eu 9.2907 1.0390 2.4494
Eu 9.4748 3.1170 9.9497
Se 0.2705 3.1170 10.7416
Se 1.1037 1.0390 13.7967
Se 1.6803 3.1170 7.0621
Se 2.6124 3.1170 2.6773
Se 3.6428 1.0390 10.1777
Se 4.5748 1.0390 14.5624
Se 5.1515 3.1170 6.2964
Se 5.9847 1.0390 3.2412
Se 6.5256 3.1170 11.7595
Se 7.3589 1.0390 8.7044
Se 7.9355 3.1170 0.4383
Se 8.8675 3.1170 4.8230
Se 9.8979 1.0390 12.3234
Se 10.8300 1.0390 7.9387
Se 11.4066 3.1170 1.2040
Se 12.2398 1.0390 4.2591


! EuTm2Se4 (GGA-PBE, optimized geometry); values from VASP
! Space-group type = Pnma (62)
! E (MP2020) = -6.9368 eV/atom
! Crystal system = orthorhombic
&SYSTEM
  ibrav = 0, nat = 28, ntyp = 3
/
ATOMIC_SPECIES
Eu 151.96 Eu.upf
Tm 168.93 Tm.upf
Se 78.96 Se.upf
CELL_PARAMETERS angstrom
12.4591 0.0000 0.0000
0.0000 4.0855 0.0000
0.0000 0.0000 14.7859
ATOMIC_POSITIONS angstrom
Eu 2.9943 1.0214 2.4499
Eu 3.2353 3.0641 9.8429
Eu 9.2238 1.0214 4.9430
Eu 9.4649 3.0641 12.3359
Tm 0.7788 1.0214 5.7550
Tm 1.0314 1.0214 13.3422
Tm 5.1981 3.0641 5.9493
Tm 5.4508 3.0641 13.1480
Tm 7.0083 1.0214 1.6379
Tm 7.2610 1.0214 8.8366
Tm 11.4277 3.0641 1.4437
Tm 11.6804 3.0641 9.0308
Se 0.3321 3.0641 11.5981
Se 1.1393 1.0214 8.5427
Se 1.6261 3.0641 0.4576
Se 2.5624 3.0641 4.8430
Se 3.6671 1.0214 12.2360
Se 4.6034 1.0214 7.8505
Se 5.0903 3.0641 1.1497
Se 5.8975 1.0214 4.2052
Se 6.5617 3.0641 10.5807
Se 7.3689 1.0214 13.6362
Se 7.8557 3.0641 6.9353
Se 8.7920 3.0641 2.5499
Se 9.8967 1.0214 9.9429
Se 10.8330 1.0214 14.3283
Se 11.3198 3.0641 6.2432
Se 12.1270 1.0214 3.1877


! EuSi6 (GGA-PBE, optimized geometry); values from VASP
! Space-group type = Cmcm (63)
! E (MP2020) = -6.1690 eV/atom
! Crystal system = orthorhombic
&SYSTEM
  ibrav = 0, nat = 14, ntyp = 2
/
ATOMIC_SPECIES
Eu 151.96 Eu.upf
Si 28.09 Si.upf
CELL_PARAMETERS angstrom
2.2494 -5.0924 0.0000
2.2494 5.0924 0.0000
0.0000 0.0000 11.5486
ATOMIC_POSITIONS angstrom
Eu 2.2494 2.7803 8.6615
Eu 2.2494 -2.7803 2.8872
Si 2.2494 4.5185 1.6982
Si 2.2494 4.5185 4.0761
Si 2.2494 2.5172 0.4303
Si 2.2494 2.5172 5.3440
Si 2.2494 0.2254 1.1857
Si 2.2494 0.2254 4.5886
Si 2.2494 -0.2254 6.9600
Si 2.2494 -0.2254 10.3629
Si 2.2494 -2.5172 6.2046
Si 2.2494 -2.5172 11.1183
Si 2.2494 -4.5185 7.4725
Si 2.2494 -4.5185 9.8504